Entry 1:
Mg2MnIrO6 | PBE+U | optimized geometry

a b c (Å): 5.0978 5.2820 9.1599
angles (deg): 90.00 123.04 90.00
Positions (direct):
Mg1 0.2358 0.0588 0.2492
Mg2 0.2358 0.4412 0.7492
Mg3 0.7642 0.5588 0.2508
Mg4 0.7642 0.9412 0.7508
Mn1 0.0000 0.0000 0.5000
Mn2 0.0000 0.5000 0.0000
Ir1 0.5000 0.0000 0.0000
Ir2 0.5000 0.5000 0.5000
O1 0.1107 0.1878 0.9289
O2 0.1107 0.3122 0.4289
O3 0.2461 0.6858 0.9266
O4 0.2461 0.8142 0.4266
O5 0.3972 0.0740 0.7604
O6 0.3972 0.4260 0.2604
O7 0.6028 0.5740 0.7396
O8 0.6028 0.9260 0.2396
O9 0.7539 0.1858 0.5734
O10 0.7539 0.3142 0.0734
O11 0.8893 0.6878 0.5711
O12 0.8893 0.8122 0.0711

E	-6.59	eV/atom
DFT formation energy	-2081	meV per atom
energy with MP2020 corrections	-7.17	eV/atom
calculated volume	10.34	A^3/atom

---

Entry 2:
MgCr2Ag2O8 | PBE+U | optimized geometry

a b c (Å): 5.4417 5.4417 7.3539
angles (deg): 91.73 91.73 71.09
Positions (direct):
Mg1 0.0000 0.0000 0.0000
Cr1 0.1562 0.1562 0.7315
Cr2 0.8438 0.8438 0.2685
Ag1 0.5000 0.5000 0.0000
Ag2 0.5000 0.5000 0.5000
O1 0.1694 0.7558 0.2394
O2 0.2442 0.8306 0.7606
O3 0.2522 0.2522 0.9353
O4 0.2561 0.2561 0.5489
O5 0.7439 0.7439 0.4511
O6 0.7478 0.7478 0.0647
O7 0.7558 0.1694 0.2394
O8 0.8306 0.2442 0.7606

E	-5.76	eV/atom
DFT formation energy	-1402	meV per atom
energy with MP2020 corrections	-6.49	eV/atom
calculated volume	15.84	A^3/atom
energy above the lowest structure with this stoichiometry	132	meV per atom

---

Entry 3:
LiV4O5F7 | PBE+U | optimized geometry

a b c (Å): 5.1606 5.4123 7.5180
angles (deg): 92.99 90.03 93.16
Positions (direct):
Li1 0.0000 0.0000 0.0000
V1 0.4699 0.8963 0.3027
V2 0.4927 0.9321 0.7974
V3 0.9547 0.4080 0.3117
V4 0.9823 0.4464 0.8304
O1 0.1997 0.7449 0.8558
O2 0.2762 0.6355 0.2707
O3 0.6957 0.2091 0.3453
O4 0.7703 0.1344 0.7787
O5 0.9059 0.4297 0.0552
F1 0.0748 0.4238 0.5626
F2 0.1835 0.1189 0.2354
F3 0.2787 0.2293 0.8667
F4 0.3739 0.9497 0.5510
F5 0.6188 0.9104 0.0594
F6 0.6875 0.6299 0.7510
F7 0.7806 0.7194 0.3649

E	-6.47	eV/atom
DFT formation energy	-2773	meV per atom
energy with MP2020 corrections	-7.27	eV/atom
calculated volume	12.32	A^3/atom
energy above the lowest structure with this stoichiometry	30	meV per atom

---

Entry 4:
CrGe2O6 | PBE+U | optimized geometry

a b c (Å): 6.6066 6.6066 5.5219
angles (deg): 102.99 102.99 83.20
Positions (direct):
Cr1 0.0961 0.9039 0.7500
Cr2 0.9039 0.0961 0.2500
Ge1 0.2038 0.3854 0.7271
Ge2 0.3854 0.2038 0.2271
Ge3 0.6146 0.7962 0.7729
Ge4 0.7962 0.6146 0.2729
O1 0.0287 0.1822 0.6222
O2 0.0838 0.6389 0.8023
O3 0.1822 0.0287 0.1222
O4 0.3392 0.3917 0.4909
O5 0.3611 0.9162 0.6977
O6 0.3917 0.3392 0.9909
O7 0.6083 0.6608 0.0091
O8 0.6389 0.0838 0.3023
O9 0.6608 0.6083 0.5091
O10 0.8178 0.9713 0.8778
O11 0.9162 0.3611 0.1977
O12 0.9713 0.8178 0.3778

E	-6.68	eV/atom
DFT formation energy	-1965	meV per atom
energy with MP2020 corrections	-7.36	eV/atom
calculated volume	12.68	A^3/atom
energy above the lowest structure with this stoichiometry	8	meV per atom